(1)
Material: Li2Mn3CuO8
Method: DFT, GGA+U
State: optimized geometry

SG = No. 1
calculated formation energy = -1.86 eV/atom

The structure in POSCAR format:
```
Li2Mn3CuO8
1.0
8.3005 0.0000 0.0000
0.0149 8.3334 0.0000
0.0118 0.0335 8.3835
Li Mn Cu O
8 12 4 32
direct
0.0000 0.0000 0.0000 Li
0.0107 0.4916 0.4987 Li
0.2470 0.2521 0.7392 Li
0.2585 0.7500 0.2480 Li
0.4970 0.9885 0.4890 Li
0.5111 0.5031 0.9913 Li
0.7483 0.7410 0.7498 Li
0.7618 0.2389 0.2400 Li
0.1244 0.8671 0.6253 Mn
0.1284 0.6278 0.8778 Mn
0.1329 0.3783 0.1213 Mn
0.3711 0.8751 0.8727 Mn
0.3756 0.1250 0.1135 Mn
0.3838 0.3745 0.3609 Mn
0.6252 0.1179 0.8637 Mn
0.6306 0.3659 0.6124 Mn
0.6343 0.6170 0.3675 Mn
0.8753 0.1135 0.6190 Mn
0.8836 0.8624 0.3758 Mn
0.8872 0.6240 0.1264 Mn
0.1288 0.1188 0.3674 Cu
0.3777 0.6192 0.6194 Cu
0.6312 0.8703 0.1177 Cu
0.8794 0.3733 0.8678 Cu
0.1061 0.0994 0.6193 O
0.1138 0.8564 0.4008 O
0.1190 0.3956 0.8876 O
0.1213 0.6124 0.1106 O
0.1320 0.6347 0.6493 O
0.1363 0.8627 0.8597 O
0.1433 0.1496 0.1197 O
0.1566 0.3846 0.3482 O
0.3565 0.8617 0.6394 O
0.3587 0.6482 0.8850 O
0.3644 0.8994 0.0999 O
0.3694 0.1385 0.3450 O
0.3720 0.3606 0.1267 O
0.3881 0.1139 0.8783 O
0.3950 0.3785 0.5927 O
0.4084 0.6028 0.3541 O
0.6015 0.8866 0.8703 O
0.6118 0.1107 0.0952 O
0.6211 0.3786 0.3780 O
0.6263 0.5965 0.5989 O
0.6367 0.1297 0.6281 O
0.6393 0.3533 0.8445 O
0.6492 0.8471 0.3689 O
0.6558 0.6312 0.1357 O
0.8540 0.1122 0.8480 O
0.8624 0.3423 0.6131 O
0.8704 0.6284 0.3618 O
0.8877 0.8778 0.6108 O
0.8894 0.0943 0.3863 O
0.8942 0.8533 0.1507 O
0.8960 0.6294 0.8991 O
0.9033 0.3923 0.1260 O
```

---

(2)
Material: Li4V3P8O29
Method: DFT, GGA+U
State: optimized geometry

SG = No. 5
calculated formation energy = -2.57 eV/atom

The structure in POSCAR format:
```
Li4V3P8O29
1.0
8.4172 -4.9217 0.0000
8.4172 4.9217 0.0000
-0.2171 0.0000 14.2939
Li V P O
8 6 16 58
direct
0.0132 0.0132 0.2410 Li
0.0542 0.7091 0.1841 Li
0.2909 0.9458 0.8159 Li
0.6285 0.2727 0.1900 Li
0.6338 0.1302 0.6930 Li
0.7273 0.3715 0.8100 Li
0.8698 0.3662 0.3070 Li
0.9868 0.9868 0.7590 Li
0.3915 0.6085 0.5000 V
0.3940 0.0430 0.0036 V
0.5184 0.4816 0.0000 V
0.5214 0.0365 0.4918 V
0.9570 0.6060 0.9964 V
0.9636 0.4786 0.5082 V
0.0432 0.2581 0.9144 P
0.0453 0.7284 0.4063 P
0.1710 0.1274 0.4122 P
0.1783 0.7344 0.9084 P
0.2656 0.8217 0.0916 P
0.2716 0.9547 0.5937 P
0.2911 0.3780 0.1152 P
0.3031 0.3691 0.6162 P
0.6220 0.7089 0.8848 P
0.6309 0.6969 0.3838 P
0.6427 0.2687 0.4097 P
0.6450 0.1292 0.9060 P
0.7313 0.3573 0.5903 P
0.7419 0.9568 0.0856 P
0.8708 0.3550 0.0940 P
0.8726 0.8290 0.5878 P
0.0403 0.3033 0.4170 O
0.0430 0.5730 0.4263 O
0.0445 0.4151 0.9221 O
0.0483 0.6921 0.9103 O
0.1439 0.5308 0.0792 O
0.1490 0.3735 0.5734 O
0.1499 0.0465 0.3304 O
0.1539 0.0529 0.5090 O
0.1616 0.8384 0.0000 O
0.1715 0.8271 0.1735 O
0.1729 0.8285 0.8265 O
0.1991 0.0191 0.6853 O
0.2141 0.1184 0.9144 O
0.2172 0.6954 0.4206 O
0.2833 0.2357 0.0728 O
0.2997 0.5165 0.5712 O
0.3046 0.7828 0.5794 O
0.3079 0.9517 0.0897 O
0.3114 0.3649 0.7194 O
0.3149 0.3787 0.2188 O
0.3369 0.1178 0.4207 O
0.3422 0.5818 0.9209 O
0.4182 0.6578 0.0791 O
0.4270 0.9570 0.5737 O
0.4427 0.3730 0.0682 O
0.4469 0.2210 0.5716 O
0.4692 0.8561 0.9208 O
0.4835 0.7003 0.4288 O
0.4876 0.4234 0.4239 O
0.4909 0.1249 0.9195 O
0.5766 0.5124 0.5761 O
0.5849 0.9555 0.0779 O
0.6113 0.1275 0.4151 O
0.6138 0.3030 0.9145 O
0.6213 0.6851 0.7812 O
0.6270 0.5573 0.9318 O
0.6265 0.8510 0.4266 O
0.6351 0.6886 0.2806 O
0.6970 0.3862 0.0855 O
0.6967 0.9597 0.5830 O
0.7283 0.2658 0.3228 O
0.7302 0.0647 0.8143 O
0.7342 0.2717 0.6772 O
0.7531 0.2469 0.5000 O
0.7549 0.0531 0.1671 O
0.7633 0.0328 0.9896 O
0.7643 0.7167 0.9272 O
0.7790 0.5531 0.4284 O
0.8725 0.3887 0.5849 O
0.8751 0.5091 0.0805 O
0.8822 0.6631 0.5793 O
0.8816 0.7859 0.0856 O
0.9353 0.2698 0.1857 O
0.9469 0.2451 0.8329 O
0.9471 0.8461 0.4910 O
0.9535 0.8501 0.6696 O
0.9672 0.2367 0.0104 O
0.9809 0.8009 0.3147 O
```

---

(3)
Material: Li3CuNi4O8
Method: DFT, GGA+U
State: optimized geometry

SG = No. 12
calculated formation energy = -1.38 eV/atom

The structure in POSCAR format:
```
Li3CuNi4O8
1.0
5.0471 -2.9253 0.0000
5.0471 2.9253 0.0000
-3.4045 0.0000 4.7912
Li Cu Ni O
3 1 4 8
direct
0.0000 0.0000 0.0000 Li
0.0000 0.5000 0.0000 Li
0.5000 0.0000 0.0000 Li
0.5000 0.5000 0.5000 Cu
0.0000 0.0000 0.5000 Ni
0.0000 0.5000 0.5000 Ni
0.5000 0.0000 0.5000 Ni
0.5000 0.5000 0.0000 Ni
0.2431 0.7291 0.7285 O
0.2505 0.2505 0.7551 O
0.2543 0.2543 0.2874 O
0.2709 0.7569 0.2715 O
0.7291 0.2431 0.7285 O
0.7457 0.7457 0.7126 O
0.7495 0.7495 0.2449 O
0.7569 0.2709 0.2715 O
```

---

(4)
Material: MgNi4O8
Method: DFT, GGA+U
State: optimized geometry

SG = No. 8
calculated formation energy = -0.97 eV/atom

The structure in POSCAR format:
```
MgNi4O8
1.0
7.5341 -1.4055 0.0000
7.5341 1.4055 0.0000
-4.7555 0.0000 7.4458
Mg Ni O
1 4 8
direct
0.0000 0.0000 0.0000 Mg
0.1623 0.1623 0.3531 Ni
0.3270 0.3270 0.9910 Ni
0.6746 0.6746 0.0135 Ni
0.8352 0.8352 0.6478 Ni
0.0826 0.0826 0.8857 O
0.2708 0.2708 0.1340 O
0.3217 0.3217 0.4967 O
0.3823 0.3823 0.8336 O
0.6173 0.6173 0.1681 O
0.6757 0.6757 0.5042 O
0.7308 0.7308 0.8709 O
0.9193 0.9193 0.1178 O
```